1.
## RhCl3 (PBE)

Data for a geometry-optimized RhCl3 structure.

## Properties
**Symmetry**: No. 12
**Electronic total energy**: -30.8 eV/cell
**V**: 24.9 Å³/atom
**Energy of formation**: -4.3 eV per formula unit

The structure in POSCAR format:
```
RhCl3
1.0
3.047 -5.274 0.000
3.047 5.274 0.000
-2.030 0.000 6.197
Rh Cl
2 6
direct
0.167 0.833 0.000
0.833 0.167 0.000
0.076 0.429 0.788
0.217 0.217 0.212
0.429 0.076 0.788
0.571 0.924 0.212
0.783 0.783 0.788
0.924 0.571 0.212
```

2.
## Ce3TiAlS7 (PBE)

Data for a geometry-optimized Ce3TiAlS7 structure.

## Properties
**Symmetry**: No. 173
**Electronic total energy**: -158.3 eV/cell
**V**: 22.4 Å³/atom
**Energy of formation**: -24.3 eV per formula unit

The structure in POSCAR format:
```
Ce3TiAlS7
1.0
10.076 0.000 0.000
-5.038 8.726 0.000
0.000 0.000 6.111
Ce Ti Al S
6 2 2 14
direct
0.138 0.368 0.000
0.230 0.862 0.000
0.368 0.230 0.500
0.632 0.770 0.000
0.770 0.138 0.500
0.862 0.632 0.500
0.000 0.000 0.306
0.000 0.000 0.806
0.333 0.667 0.425
0.667 0.333 0.925
0.088 0.229 0.558
0.097 0.581 0.275
0.141 0.912 0.558
0.229 0.141 0.058
0.333 0.667 0.791
0.419 0.516 0.275
0.484 0.903 0.275
0.516 0.097 0.775
0.581 0.484 0.775
0.667 0.333 0.291
0.771 0.859 0.558
0.859 0.088 0.058
0.903 0.419 0.775
0.912 0.771 0.058
```

3.
## Cs2Se3 (PBE)

Data for a geometry-optimized Cs2Se3 structure.

## Properties
**Symmetry**: No. 36
**Electronic total energy**: -32.8 eV/cell
**V**: 40.8 Å³/atom
**Largest piezoelectric modulus**: 0.2 C/m²
**Energy of formation**: -5.5 eV per formula unit

The structure in POSCAR format:
```
Cs2Se3
1.0
4.063 -5.880 0.000
4.063 5.880 0.000
0.000 0.000 8.538
Cs Se
4 6
direct
0.083 0.917 0.500
0.402 0.598 0.719
0.598 0.402 0.219
0.917 0.083 0.000
0.101 0.427 0.345
0.292 0.708 0.186
0.427 0.101 0.845
0.573 0.899 0.345
0.708 0.292 0.686
0.899 0.573 0.845
```

4.
## Dy5B2O6F9 (PBE)

Data for a geometry-optimized Dy5B2O6F9 structure.

## Properties
**Symmetry**: No. 15
**Electronic total energy**: -327.6 eV/cell
**V**: 11.7 Å³/atom
**Energy of formation**: -88.8 eV per formula unit

The structure in POSCAR format:
```
Dy5B2O6F9
1.0
10.293 -3.069 0.000
10.293 3.069 0.000
-1.454 0.000 8.170
Dy B O F
10 4 12 18
direct
0.076 0.313 0.319
0.109 0.891 0.750
0.280 0.501 0.096
0.313 0.076 0.819
0.499 0.720 0.404
0.501 0.280 0.596
0.687 0.924 0.181
0.720 0.499 0.904
0.891 0.109 0.250
0.924 0.687 0.681
0.015 0.208 0.562
0.208 0.015 0.062
0.792 0.985 0.938
0.985 0.792 0.438
0.011 0.803 0.285
0.100 0.218 0.038
0.147 0.670 0.565
0.197 0.989 0.215
0.218 0.100 0.538
0.330 0.853 0.935
0.670 0.147 0.065
0.782 0.900 0.462
0.803 0.011 0.785
0.853 0.330 0.435
0.900 0.782 0.962
0.989 0.197 0.715
0.000 0.449 0.788
0.000 0.551 0.212
0.149 0.788 0.017
0.212 0.367 0.520
0.212 0.851 0.483
0.290 0.447 0.815
0.367 0.212 0.020
0.447 0.290 0.315
0.449 0.000 0.288
0.484 0.516 0.750
0.516 0.484 0.250
0.551 0.000 0.712
0.553 0.710 0.685
0.633 0.788 0.980
0.710 0.553 0.185
0.788 0.149 0.517
0.788 0.633 0.480
0.851 0.212 0.983
```

5.
## In5AgSe8 (PBE)

Data for a geometry-optimized In5AgSe8 structure.

## Properties
**Symmetry**: No. 111
**Electronic total energy**: -51.4 eV/cell
**V**: 30.0 Å³/atom
**Offset from the most stable computed form**: 2 meV per atom
**Energy of formation**: -10.6 eV per formula unit

The structure in POSCAR format:
```
In5AgSe8
1.0
5.901 0.000 0.000
0.000 5.901 0.000
0.000 0.000 12.049
In Ag Se
5 1 8
direct
0.000 0.000 0.000
0.000 0.500 0.254
0.000 0.500 0.746
0.500 0.000 0.254
0.500 0.000 0.746
0.500 0.500 0.500
0.227 0.227 0.618
0.227 0.773 0.382
0.273 0.273 0.113
0.273 0.727 0.887
0.727 0.273 0.887
0.727 0.727 0.113
0.773 0.227 0.382
0.773 0.773 0.618
```

6.
## Ca10Ge6F (PBE)

Data for a geometry-optimized Ca10Ge6F structure.

## Properties
**Symmetry**: No. 121
**Electronic total energy**: -65.3 eV/cell
**V**: 25.9 Å³/atom
**Energy of formation**: -16.1 eV per formula unit

The structure in POSCAR format:
```
Ca10Ge6F
1.0
-3.863 3.863 7.383
3.863 -3.863 7.383
3.863 3.863 -7.383
Ca Ge F
10 6 1
direct
0.067 0.717 0.000
0.232 0.232 0.667
0.250 0.750 0.500
0.283 0.283 0.350
0.435 0.768 0.000
0.565 0.565 0.333
0.717 0.067 0.000
0.750 0.250 0.500
0.768 0.435 0.000
0.933 0.933 0.650
0.000 0.500 0.500
0.130 0.367 0.000
0.367 0.130 0.000
0.500 0.000 0.500
0.633 0.633 0.763
0.870 0.870 0.237
0.500 0.500 0.000
```

7.
## CoSbSe (PBE)

Data for a geometry-optimized CoSbSe structure.

## Properties
**Symmetry**: No. 10
**Electronic total energy**: -30.8 eV/cell
**V**: 19.0 Å³/atom
**Energy of formation**: -1.1 eV per formula unit

The structure in POSCAR format:
```
CoSbSe
1.0
5.265 0.000 0.000
0.000 3.576 0.000
-0.542 0.000 6.050
Co Sb Se
2 2 2
direct
0.000 0.000 0.000
0.500 0.500 0.500
0.220 0.000 0.648
0.780 0.000 0.352
0.270 0.500 0.141
0.730 0.500 0.859
```

8.
## Li15Si4 (PBE)

Data for a geometry-optimized Li15Si4 structure.

## Properties
**Symmetry**: No. 220
**Electronic total energy**: -109.6 eV/cell
**V**: 15.5 Å³/atom
**Energy of formation**: -4.2 eV per formula unit

The structure in POSCAR format:
```
Li15Si4
1.0
-5.283 5.283 5.283
5.283 -5.283 5.283
5.283 5.283 -5.283
Li Si
30 8
direct
0.031 0.913 0.690
0.087 0.277 0.117
0.117 0.087 0.277
0.125 0.750 0.875
0.160 0.883 0.469
0.190 0.413 0.531
0.223 0.310 0.840
0.250 0.625 0.375
0.277 0.117 0.087
0.310 0.840 0.223
0.340 0.810 0.723
0.375 0.250 0.625
0.383 0.660 0.969
0.413 0.531 0.190
0.469 0.160 0.883
0.531 0.190 0.413
0.587 0.617 0.777
0.617 0.777 0.587
0.625 0.375 0.250
0.660 0.969 0.383
0.690 0.031 0.913
0.723 0.340 0.810
0.750 0.875 0.125
0.777 0.587 0.617
0.810 0.723 0.340
0.840 0.223 0.310
0.875 0.125 0.750
0.883 0.469 0.160
0.913 0.690 0.031
0.969 0.383 0.660
0.000 0.085 0.500
0.000 0.585 0.500
0.085 0.500 0.000
0.415 0.415 0.415
0.500 0.000 0.085
0.500 0.000 0.585
0.585 0.500 0.000
0.915 0.915 0.915
```

9.
## Ba3TaN3 (PBE)

Data for a geometry-optimized Ba3TaN3 structure.

## Properties
**Symmetry**: No. 176
**Electronic total energy**: -95.9 eV/cell
**V**: 25.4 Å³/atom
**Energy of formation**: -6.4 eV per formula unit

The structure in POSCAR format:
```
Ba3TaN3
1.0
8.367 0.000 0.000
-4.183 7.246 0.000
0.000 0.000 5.859
Ba Ta N
6 2 6
direct
0.112 0.362 0.250
0.250 0.888 0.250
0.362 0.250 0.750
0.638 0.750 0.250
0.750 0.112 0.750
0.888 0.638 0.750
0.333 0.667 0.750
0.667 0.333 0.250
0.140 0.408 0.750
0.268 0.860 0.750
0.408 0.268 0.250
0.592 0.732 0.750
0.732 0.140 0.250
0.860 0.592 0.250
```

10.
## Ca3Ge3Au8 (PBE)

Data for a geometry-optimized Ca3Ge3Au8 structure.

## Properties
**Symmetry**: No. 10
**Electronic total energy**: -106.5 eV/cell
**V**: 21.1 Å³/atom
**Energy of formation**: -7.2 eV per formula unit

The structure in POSCAR format:
```
Ca3Ge3Au8
1.0
9.610 0.000 0.000
0.000 4.540 0.000
-0.226 0.000 13.537
Ca Ge Au
6 6 16
direct
0.000 0.000 0.000
0.001 0.000 0.689
0.495 0.500 0.188
0.500 0.500 0.500
0.505 0.500 0.812
0.999 0.000 0.311
0.150 0.500 0.815
0.221 0.500 0.626
0.349 0.000 0.320
0.651 0.000 0.680
0.779 0.500 0.374
0.850 0.500 0.185
0.000 0.500 0.500
0.110 0.500 0.159
0.206 0.000 0.496
0.239 0.500 0.363
0.264 0.000 0.862
0.280 0.000 0.132
0.296 0.500 0.996
0.387 0.000 0.660
0.500 0.000 0.000
0.613 0.000 0.340
0.704 0.500 0.004
0.720 0.000 0.868
0.736 0.000 0.138
0.761 0.500 0.637
0.794 0.000 0.504
0.890 0.500 0.841
```

11.
## K3NaP2H8O11 (PBE)

Data for a geometry-optimized K3NaP2H8O11 structure.

## Properties
**Symmetry**: No. 14
**Electronic total energy**: -555.9 eV/cell
**V**: 12.2 Å³/atom
**Energy of formation**: -49.5 eV per formula unit

The structure in POSCAR format:
```
K3NaP2H8O11
1.0
5.778 0.000 0.000
0.000 12.094 0.000
-0.706 0.000 17.508
K Na P H O
12 4 8 32 44
direct
0.218 0.073 0.075
0.218 0.427 0.575
0.264 0.545 0.176
0.264 0.955 0.676
0.271 0.156 0.471
0.271 0.344 0.971
0.729 0.656 0.029
0.729 0.844 0.529
0.736 0.045 0.324
0.736 0.455 0.824
0.782 0.573 0.425
0.782 0.927 0.925
0.302 0.087 0.860
0.302 0.413 0.360
0.698 0.587 0.640
0.698 0.913 0.140
0.223 0.707 0.573
0.223 0.793 0.073
0.231 0.636 0.738
0.231 0.864 0.238
0.769 0.136 0.762
0.769 0.364 0.262
0.777 0.207 0.927
0.777 0.293 0.427
0.131 0.187 0.666
0.131 0.313 0.166
0.159 0.215 0.281
0.159 0.285 0.781
0.250 0.091 0.272
0.250 0.409 0.772
0.274 0.600 0.972
0.274 0.900 0.472
0.276 0.674 0.356
0.276 0.826 0.856
0.306 0.626 0.441
0.306 0.874 0.941
0.310 0.602 0.884
0.310 0.898 0.384
0.394 0.206 0.652
0.394 0.294 0.152
0.606 0.706 0.848
0.606 0.794 0.348
0.690 0.102 0.616
0.690 0.398 0.116
0.694 0.126 0.059
0.694 0.374 0.559
0.724 0.174 0.144
0.724 0.326 0.644
0.726 0.100 0.528
0.726 0.400 0.028
0.750 0.591 0.228
0.750 0.909 0.728
0.841 0.715 0.219
0.841 0.785 0.719
0.869 0.687 0.834
0.869 0.813 0.334
0.006 0.145 0.938
0.006 0.355 0.438
0.034 0.124 0.758
0.034 0.376 0.258
0.190 0.146 0.309
0.190 0.354 0.809
0.214 0.671 0.049
0.214 0.829 0.549
0.237 0.209 0.626
0.237 0.291 0.126
0.262 0.605 0.387
0.262 0.895 0.887
0.285 0.718 0.666
0.285 0.782 0.166
0.324 0.552 0.928
0.324 0.948 0.428
0.333 0.699 0.808
0.333 0.801 0.308
0.359 0.527 0.722
0.359 0.973 0.222
0.426 0.643 0.540
0.426 0.857 0.040
0.574 0.143 0.960
0.574 0.357 0.460
0.641 0.027 0.778
0.641 0.473 0.278
0.667 0.199 0.692
0.667 0.301 0.192
0.676 0.052 0.572
0.676 0.448 0.072
0.715 0.218 0.834
0.715 0.282 0.334
0.738 0.105 0.113
0.738 0.395 0.613
0.763 0.709 0.874
0.763 0.791 0.374
0.786 0.171 0.451
0.786 0.329 0.951
0.810 0.646 0.191
0.810 0.854 0.691
0.966 0.624 0.742
0.966 0.876 0.242
0.994 0.645 0.562
0.994 0.855 0.062
```

12.
## RbMg6Co (PBE)

Data for a geometry-optimized RbMg6Co structure.

## Properties
**Symmetry**: No. 38
**Electronic total energy**: -14.2 eV/cell
**V**: 24.2 Å³/atom
**Offset from the most stable computed form**: 101 meV per atom
**Energy of formation**: 3.5 eV per formula unit

The structure in POSCAR format:
```
RbMg6Co
1.0
5.293 0.000 0.000
0.000 3.277 5.582
0.000 -3.277 5.582
Rb Mg Co
1 6 1
direct
0.000 0.000 0.000
0.000 0.503 0.984
0.000 0.984 0.503
0.500 0.321 0.321
0.500 0.347 0.794
0.500 0.794 0.347
0.500 0.814 0.814
0.000 0.561 0.561
```